[1]
Entry from the Materials Project database: crystalline Rb7GdFe6P8O34 at its relaxed geometry (PBE with a Hubbard U).

The structure in POSCAR format:
```
Rb7GdFe6P8O34
1.0
9.363 -0.007 -0.754
-4.457 8.965 -0.237
-0.114 0.054 10.078
O P Rb Fe Gd
34 8 7 6 1
Cartesian
7.287 0.786 0.476 O
0.427 5.547 4.049 O
0.269 6.544 7.463 O
1.937 8.135 6.462 O
-2.088 5.713 8.672 O
5.423 7.585 2.668 O
1.467 1.788 7.855 O
6.880 3.299 0.416 O
2.532 5.670 6.588 O
3.410 6.394 3.599 O
2.261 3.342 2.500 O
-0.384 2.419 0.171 O
4.771 5.250 1.803 O
4.524 2.467 1.625 O
-2.494 8.226 8.612 O
6.650 4.024 5.884 O
1.382 2.617 5.489 O
-1.765 6.999 0.688 O
5.881 1.588 5.789 O
-3.846 8.910 0.959 O
6.387 2.768 3.649 O
0.021 3.762 7.284 O
2.495 1.971 0.320 O
2.297 7.041 8.768 O
6.558 2.013 8.400 O
5.177 6.592 8.917 O
3.325 7.224 1.233 O
2.855 0.877 2.626 O
-1.858 4.988 3.204 O
4.365 3.465 5.039 O
-1.595 6.244 5.439 O
8.638 0.101 8.129 O
-0.630 1.427 6.420 O
-1.089 7.423 3.299 O
3.008 2.187 1.789 P
4.250 6.609 2.320 P
5.836 2.996 5.094 P
7.490 2.087 -0.344 P
1.785 6.825 7.299 P
0.543 2.403 6.768 P
-1.043 6.016 3.994 P
-2.698 6.925 9.432 P
4.682 -0.004 -0.377 Rb
3.320 0.261 6.016 Rb
-0.291 1.873 3.338 Rb
0.505 5.027 0.568 Rb
5.083 7.138 5.750 Rb
4.287 3.985 8.519 Rb
1.472 8.751 3.072 Rb
-2.530 8.097 2.110 Fe
3.914 7.995 -0.504 Fe
0.878 1.016 9.592 Fe
7.322 0.914 6.978 Fe
-1.184 5.216 7.060 Fe
5.976 3.796 2.028 Fe
2.396 4.506 4.544 Gd
```

Its formation enthalpy at 0 K is -2.466 eV per atom. The energy with MP2020 corrections comes out at -7.525 eV/atom.


[2]
Entry from the Materials Project database: crystalline Mn2InO5 at its relaxed geometry (PBE with a Hubbard U).

The structure in POSCAR format:
```
Mn2InO5
1.0
1.955 -5.011 0.000
1.955 5.011 0.000
0.000 0.000 10.273
O Mn In
10 4 2
Cartesian
1.955 1.899 9.723 O
1.955 2.894 2.568 O
1.955 -1.899 0.550 O
1.955 -4.539 1.110 O
1.955 -1.899 4.586 O
1.955 4.539 9.163 O
1.955 -2.894 7.705 O
1.955 4.539 6.247 O
1.955 -4.539 4.026 O
1.955 1.899 5.687 O
1.955 3.629 0.592 Mn
1.955 -3.629 5.728 Mn
1.955 -3.629 9.681 Mn
1.955 3.629 4.545 Mn
1.955 -3.049 2.568 In
1.955 3.049 7.705 In
```

Its formation enthalpy at 0 K is -1.861 eV per atom. The energy with MP2020 corrections comes out at -7.588 eV/atom. Its excess energy over the best structure of this formula in the dataset is 56 meV/atom.


[3]
Entry from the Materials Project database: crystalline Li3La7Fe2O16 at its relaxed geometry (PBE with a Hubbard U).

The structure in POSCAR format:
```
Li3La7Fe2O16
1.0
5.388 5.363 0.000
-5.388 5.363 0.000
0.000 2.687 6.392
La O Fe Li
7 16 2 3
Cartesian
0.000 5.399 4.585 La
0.000 10.711 4.671 La
-2.676 8.049 4.554 La
2.704 5.362 1.779 La
2.676 8.049 4.554 La
0.000 2.675 1.812 La
-2.704 5.362 1.779 La
-1.305 3.987 6.352 O
0.000 8.040 4.124 O
2.898 8.046 2.275 O
-1.319 9.344 6.368 O
-1.303 6.750 6.359 O
0.000 10.868 2.238 O
4.066 6.755 6.360 O
1.303 6.750 6.359 O
0.000 2.686 4.194 O
1.305 3.987 6.352 O
1.319 9.344 6.368 O
-2.683 5.367 4.079 O
-4.066 6.755 6.360 O
0.000 5.225 2.222 O
-2.898 8.046 2.275 O
2.683 5.367 4.079 O
0.000 10.700 0.028 Fe
0.000 5.389 0.035 Fe
-2.668 8.044 0.120 Li
2.668 8.044 0.120 Li
0.000 8.049 1.880 Li
```

Its formation enthalpy at 0 K is -3.064 eV per atom. The energy with MP2020 corrections comes out at -7.935 eV/atom.


[4]
Entry from the Materials Project database: crystalline Li2Fe3SnO8 at its relaxed geometry (PBE with a Hubbard U).

The structure in POSCAR format:
```
Li2Fe3SnO8
1.0
-4.341 4.123 0.153
0.510 -3.977 4.448
6.009 6.147 4.807
O Sn Fe Li
16 2 6 4
Cartesian
-0.463 -0.619 3.532 O
3.057 3.057 4.344 O
3.319 1.014 6.628 O
4.853 4.965 3.882 O
-2.963 3.415 1.323 O
0.924 5.155 4.503 O
-2.701 1.372 3.607 O
1.849 1.891 1.479 O
1.090 3.132 6.707 O
3.048 5.355 6.264 O
0.196 2.027 3.996 O
2.162 0.160 3.926 O
0.427 0.226 6.011 O
-0.734 1.297 1.244 O
2.817 7.156 4.250 O
1.082 7.222 6.334 O
1.835 1.732 5.370 Sn
3.222 7.506 6.341 Sn
0.961 -1.278 4.738 Fe
0.777 7.120 4.318 Fe
1.025 5.187 6.480 Fe
2.887 5.116 4.244 Fe
-1.148 0.726 4.813 Fe
0.713 0.655 2.576 Fe
5.969 6.106 4.775 Li
2.965 3.033 2.372 Li
-0.361 3.893 3.497 Li
4.284 4.265 7.304 Li
```

Its formation enthalpy at 0 K is -1.861 eV per atom. The energy with MP2020 corrections comes out at -7.062 eV/atom. Its excess energy over the best structure of this formula in the dataset is 0 meV/atom.


[5]
Entry from the Materials Project database: crystalline Li2VF6 at its relaxed geometry (PBE with a Hubbard U).

The structure in POSCAR format:
```
Li2VF6
1.0
2.715 -4.848 0.000
2.715 4.848 0.000
0.000 0.000 8.615
F Li V
12 4 2
Cartesian
1.274 -1.516 7.762 F
1.400 0.898 0.773 F
4.157 1.516 3.455 F
4.031 0.898 0.773 F
4.031 -0.898 5.081 F
2.715 -1.900 1.672 F
2.715 1.900 5.980 F
4.157 -1.516 7.762 F
2.715 4.225 2.399 F
1.400 -0.898 5.081 F
2.715 -4.225 6.707 F
1.274 1.516 3.455 F
2.715 -2.234 4.573 Li
2.715 2.234 0.265 Li
2.715 0.659 4.503 Li
2.715 -0.659 0.195 Li
2.715 3.725 6.378 V
2.715 -3.725 2.071 V
```

Its formation enthalpy at 0 K is -3.106 eV per atom. The energy with MP2020 corrections comes out at -5.816 eV/atom. Its excess energy over the best structure of this formula in the dataset is 43 meV/atom.


[6]
Entry from the Materials Project database: crystalline Na6Mn2PC4O16 at its relaxed geometry (PBE with a Hubbard U).

The structure in POSCAR format:
```
Na6Mn2PC4O16
1.0
0.000 7.105 7.105
7.105 0.000 7.105
7.105 7.105 0.000
O Na Mn C P
32 12 4 8 2
Cartesian
8.004 6.206 6.206 O
12.046 7.451 8.584 O
6.206 6.206 8.004 O
8.493 3.898 9.179 O
2.164 7.451 5.626 O
5.031 8.493 10.312 O
5.626 12.046 6.759 O
5.031 5.717 3.898 O
6.759 8.584 2.164 O
12.046 6.759 5.626 O
10.312 9.179 5.717 O
9.179 8.493 3.898 O
11.556 9.759 11.556 O
5.717 3.898 5.031 O
8.584 12.046 7.451 O
2.164 6.759 8.584 O
3.898 9.179 8.493 O
10.312 5.031 8.493 O
8.493 10.312 5.031 O
7.451 5.626 2.164 O
8.584 2.164 6.759 O
5.717 10.312 9.179 O
9.759 9.759 9.759 O
8.004 8.004 8.004 O
11.556 11.556 9.759 O
7.451 8.584 12.046 O
3.898 5.031 5.717 O
5.626 2.164 7.451 O
9.759 11.556 11.556 O
6.759 5.626 12.046 O
6.206 8.004 6.206 O
9.179 5.717 10.312 O
4.151 7.105 7.105 Na
7.704 10.657 10.657 Na
10.657 13.611 10.657 Na
10.657 10.657 7.704 Na
10.657 10.657 13.611 Na
7.105 4.151 7.105 Na
7.105 7.105 10.059 Na
10.657 7.704 10.657 Na
7.105 7.105 4.151 Na
7.105 10.059 7.105 Na
13.611 10.657 10.657 Na
10.059 7.105 7.105 Na
1.776 1.776 1.776 Mn
5.329 5.329 1.776 Mn
5.329 1.776 5.329 Mn
1.776 5.329 5.329 Mn
9.335 4.875 9.335 C
4.875 4.875 4.875 C
12.887 12.887 12.887 C
8.428 8.428 12.887 C
8.428 12.887 8.428 C
4.875 9.335 9.335 C
12.887 8.428 8.428 C
9.335 9.335 4.875 C
10.657 10.657 10.657 P
7.105 7.105 7.105 P
```

Its formation enthalpy at 0 K is -2.139 eV per atom. The energy with MP2020 corrections comes out at -7.234 eV/atom.


[7]
Entry from the Materials Project database: crystalline BaV4As4O19 at its relaxed geometry (PBE with a Hubbard U).

The structure in POSCAR format:
```
BaV4As4O19
1.0
7.785 0.000 0.000
0.000 11.293 0.000
0.000 0.000 17.786
O V Ba As
76 16 4 16
Cartesian
5.838 11.257 16.470 O
5.838 2.748 7.614 O
0.454 7.078 8.449 O
4.332 8.438 2.846 O
5.838 2.899 16.507 O
0.438 5.623 5.998 O
7.275 5.708 3.018 O
0.510 5.586 14.768 O
1.946 9.789 12.509 O
5.838 6.924 5.214 O
5.838 5.684 7.577 O
3.383 5.586 14.768 O
3.439 7.078 8.449 O
1.946 0.009 10.488 O
0.508 8.587 14.704 O
7.275 11.232 11.911 O
7.344 8.503 11.739 O
3.383 0.061 5.875 O
1.946 7.066 12.949 O
5.838 1.420 13.730 O
3.395 4.251 17.443 O
3.454 5.623 5.998 O
5.838 1.504 5.278 O
1.946 8.546 10.172 O
3.384 8.353 5.811 O
3.452 2.856 14.940 O
7.331 1.432 0.444 O
0.497 4.251 17.443 O
4.390 7.043 0.343 O
5.838 4.143 14.171 O
1.946 0.037 1.316 O
4.331 5.671 11.788 O
0.497 1.396 8.550 O
7.287 7.043 0.343 O
1.946 1.277 3.679 O
0.438 0.024 14.891 O
4.346 4.215 9.337 O
0.454 9.862 17.342 O
7.331 4.215 9.337 O
4.402 5.708 3.018 O
4.332 8.503 11.739 O
0.440 2.791 6.047 O
1.946 4.370 12.572 O
7.276 2.706 3.082 O
4.401 2.706 3.082 O
4.402 11.232 11.911 O
0.510 0.061 5.875 O
1.946 2.813 10.511 O
3.454 0.024 14.891 O
5.838 8.481 7.275 O
1.946 8.394 1.279 O
0.440 2.856 14.940 O
7.346 11.270 2.895 O
5.838 10.016 14.107 O
5.838 11.285 7.298 O
1.946 5.610 10.209 O
1.946 5.638 1.595 O
4.331 11.270 2.895 O
0.508 8.353 5.811 O
7.287 9.897 9.236 O
1.946 9.874 4.056 O
1.946 7.151 3.615 O
5.838 4.227 4.837 O
3.439 9.862 17.342 O
5.838 8.459 16.168 O
4.346 1.432 0.444 O
7.344 8.438 2.846 O
5.838 5.655 16.191 O
7.346 5.671 11.788 O
7.276 2.940 11.975 O
3.452 2.791 6.047 O
1.946 2.834 1.618 O
3.395 1.396 8.550 O
4.401 2.940 11.975 O
4.390 9.897 9.236 O
3.384 8.587 14.704 O
7.405 1.607 6.832 V
4.272 1.607 6.832 V
4.272 4.039 15.725 V
7.380 6.816 6.739 V
0.380 9.686 10.954 V
7.405 4.039 15.725 V
0.404 1.169 2.154 V
0.404 4.477 11.047 V
4.297 10.124 15.632 V
3.513 7.254 2.061 V
0.380 7.254 2.061 V
4.297 6.816 6.739 V
3.513 9.686 10.954 V
3.488 1.169 2.154 V
7.380 10.124 15.632 V
3.488 4.477 11.047 V
5.838 7.086 13.575 Ba
1.946 1.439 13.104 Ba
5.838 9.855 4.682 Ba
1.946 4.208 4.211 Ba
5.838 1.425 17.435 As
1.946 5.545 13.865 As
5.838 9.877 8.342 As
5.838 2.979 12.882 As
5.838 7.063 17.235 As
5.838 5.748 3.921 As
5.838 4.222 8.542 As
1.946 0.101 4.972 As
1.946 8.626 13.797 As
1.946 8.314 4.904 As
1.946 4.230 0.551 As
5.838 11.192 12.814 As
1.946 1.417 9.444 As
5.838 2.667 3.989 As
1.946 7.071 9.244 As
1.946 9.869 0.351 As
```

Its formation enthalpy at 0 K is -2.031 eV per atom. The energy with MP2020 corrections comes out at -7.420 eV/atom.


[8]
Entry from the Materials Project database: crystalline LiCr2O4 at its relaxed geometry (PBE with a Hubbard U).

The structure in POSCAR format:
```
LiCr2O4
1.0
2.940 0.000 0.000
0.000 8.992 0.000
0.000 0.000 10.363
Cr O Li
8 16 4
Cartesian
2.205 0.538 9.140 Cr
2.205 5.271 1.066 Cr
0.735 3.958 3.959 Cr
0.735 3.721 9.297 Cr
2.205 5.034 6.404 Cr
0.735 8.217 6.247 Cr
2.205 0.775 4.116 Cr
0.735 8.454 1.222 Cr
2.205 3.429 0.274 O
2.205 5.240 4.456 O
2.205 2.722 3.574 O
2.205 8.717 7.440 O
0.735 1.774 8.756 O
0.735 0.274 2.922 O
0.735 3.752 5.906 O
2.205 0.744 0.725 O
2.205 4.222 8.104 O
2.205 7.925 4.907 O
2.205 7.218 1.607 O
0.735 8.248 9.637 O
0.735 1.067 5.456 O
0.735 4.770 2.259 O
0.735 5.563 10.088 O
0.735 6.270 6.788 O
0.735 6.813 3.821 Li
2.205 6.675 9.002 Li
0.735 2.317 1.360 Li
2.205 2.179 6.542 Li
```

Its formation enthalpy at 0 K is -2.229 eV per atom. The energy with MP2020 corrections comes out at -8.087 eV/atom. Its excess energy over the best structure of this formula in the dataset is 29 meV/atom.